# TbTaTiO6, relaxed, DFT GGA-PBE
data_TbTaTiO6
_cell_length_a 11.0902
_cell_length_b 5.2506
_cell_length_c 7.4533
_cell_angle_alpha 90.00
_cell_angle_beta 90.00
_cell_angle_gamma 90.00
_space_group_name_H-M_alt 'P n a 21'
_space_group_IT_number 33
loop_
_space_group_symop_operation_xyz
'x,y,z'
'-x,-y,z+1/2'
'-x+1/2,y+1/2,z+1/2'
'x+1/2,-y+1/2,z'
loop_
_atom_site_label
_atom_site_type_symbol
_atom_site_fract_x
_atom_site_fract_y
_atom_site_fract_z
Tb1 Tb 0.0445 0.0451 0.0000
Ta1 Ta 0.1436 0.5395 0.2586
Ti1 Ti 0.1423 0.5371 0.7434
O1 O 0.0256 0.2634 0.7098
O2 O 0.0275 0.2594 0.2938
O3 O 0.1178 0.6749 0.5039
O4 O 0.1440 0.4394 0.0001
O5 O 0.2077 0.8790 0.8180
O6 O 0.2104 0.8837 0.1860
# DFT total energy	-9.21	eV per atom
# formation energy	-3.659	eV/atom
# volume	12.06	Å³ per atom
# magnetic moment	0.00	μB/f.u.